Entry from the Materials Project: Be15Nb6Ni8 after structural relaxation (r²SCAN).

Calculated values
size of the total moment: 0.000 μB per cell
space-group type: Fm-3m (225)
calculated total energy: -320.8 eV per cell
energy relative to the elements: -0.3945 eV/atom

Unit cell a=7.552 b=7.552 c=7.552 alpha=60.00 beta=60.00 gamma=60.00
Sites, in units of the cell vectors:
1 Be 0.326 0.326 0.326
2 Be 0.674 0.674 0.674
3 Be 0.326 0.326 0.022
4 Be 0.326 0.022 0.326
5 Be 0.674 0.674 0.978
6 Be 0.674 0.978 0.674
7 Be 0.022 0.326 0.326
8 Be 0.978 0.674 0.674
9 Be 0.500 0.000 0.000
10 Be 0.000 0.500 0.500
11 Be 0.000 0.500 0.000
12 Be 0.500 0.000 0.500
13 Be 0.000 0.000 0.500
14 Be 0.500 0.500 0.000
15 Be 0.000 0.000 0.000
16 Nb 0.703 0.297 0.297
17 Nb 0.297 0.703 0.703
18 Nb 0.297 0.703 0.297
19 Nb 0.703 0.297 0.703
20 Nb 0.297 0.297 0.703
21 Nb 0.703 0.703 0.297
22 Ni 0.122 0.122 0.122
23 Ni 0.878 0.878 0.878
24 Ni 0.122 0.122 0.633
25 Ni 0.122 0.633 0.122
26 Ni 0.878 0.878 0.367
27 Ni 0.878 0.367 0.878
28 Ni 0.633 0.122 0.122
29 Ni 0.367 0.878 0.878

---

Entry from the Materials Project: PrInAu after structural relaxation (r²SCAN).

Calculated values
size of the total moment: 0.000 μB per cell
space-group type: P-62m (189)
calculated total energy: -315.3 eV per cell
energy relative to the elements: -0.8446 eV/atom

Unit cell a=7.844 b=7.844 c=4.188 alpha=90.00 beta=90.00 gamma=120.00
Sites, in units of the cell vectors:
1 Pr 0.000 0.588 0.500
2 Pr 0.588 0.000 0.500
3 Pr 0.412 0.412 0.500
4 In 0.000 0.250 0.000
5 In 0.250 0.000 0.000
6 In 0.750 0.750 0.000
7 Au 0.000 0.000 0.500
8 Au 0.667 0.333 0.000
9 Au 0.333 0.667 0.000

---

Entry from the Materials Project: Ba5Si3 after structural relaxation (r²SCAN).

Calculated values
size of the total moment: 0.548 μB per cell
space-group type: P4/ncc (130)
calculated total energy: -647.6 eV per cell
energy relative to the elements: -0.3857 eV/atom

Unit cell a=8.543 b=8.543 c=16.641 alpha=90.00 beta=90.00 gamma=90.00
Sites, in units of the cell vectors:
1 Ba 0.053 0.919 0.110
2 Ba 0.919 0.447 0.110
3 Ba 0.250 0.250 0.719
4 Ba 0.081 0.947 0.390
5 Ba 0.419 0.947 0.890
6 Ba 0.947 0.419 0.390
7 Ba 0.419 0.553 0.390
8 Ba 0.919 0.053 0.610
9 Ba 0.081 0.553 0.890
10 Ba 0.947 0.081 0.890
11 Ba 0.250 0.250 0.219
12 Ba 0.581 0.447 0.610
13 Ba 0.053 0.581 0.610
14 Ba 0.553 0.081 0.390
15 Ba 0.553 0.419 0.890
16 Ba 0.581 0.053 0.110
17 Ba 0.750 0.750 0.281
18 Ba 0.750 0.750 0.781
19 Ba 0.447 0.581 0.110
20 Ba 0.447 0.919 0.610
21 Si 0.851 0.351 0.750
22 Si 0.149 0.851 0.750
23 Si 0.750 0.750 0.990
24 Si 0.351 0.851 0.250
25 Si 0.250 0.250 0.010
26 Si 0.851 0.149 0.250
27 Si 0.351 0.649 0.750
28 Si 0.649 0.149 0.750
29 Si 0.149 0.649 0.250
30 Si 0.649 0.351 0.250
31 Si 0.250 0.250 0.510
32 Si 0.750 0.750 0.490